[1]
DFT (PBE) results for a relaxed structure of TbErIr2.

a = 4.8407 Å, b = 4.8407 Å, c = 4.8407 Å
α = 60.00°, β = 60.00°, γ = 60.00°
Sites, in units of the cell vectors:
Tb 0.0000 0.0000 0.0000
Er 0.5000 0.5000 0.5000
Ir 0.2500 0.2500 0.2500
Ir 0.7500 0.7500 0.7500

Computed properties:
The density comes out at 14.713 g/cm3.

=====

[2]
DFT (PBE) results for a relaxed structure of YErIr2.

a = 4.8390 Å, b = 4.8390 Å, c = 4.8390 Å
α = 60.00°, β = 60.00°, γ = 60.00°
Sites, in units of the cell vectors:
Y 0.0000 0.0000 0.0000
Er 0.5000 0.5000 0.5000
Ir 0.2500 0.2500 0.2500
Ir 0.7500 0.7500 0.7500

Computed properties:
The density comes out at 13.277 g/cm3.

=====

Taking the records one at a time from the top gives raw total energy values of -7.57; -8.03 eV/atom.
Taking the records one at a time from the top gives ΔE_f values of -0.848; -0.851 eV/atom.